# TcH4NO4, optimized geometry, DFT PBE-GGA
# MP2020-corrected energy in eV/f.u.: -64.74
# Symmetry: No. 88
# Total DFT energy (no corrections) in eV per atom: -6.199
data_TcH4NO4
_chemical_formula_sum 'Tc2 H8 N2 O8'
_cell_length_a 7.636
_cell_length_b 7.636
_cell_length_c 7.636
_cell_angle_alpha 131.62
_cell_angle_beta 131.62
_cell_angle_gamma 70.83
_symmetry_space_group_name_H-M 'P 1'
_symmetry_Int_Tables_number 1
_symmetry_space_group_name_Hall 'P 1'
loop_
_atom_site_label
_atom_site_type_symbol
_atom_site_fract_x
_atom_site_fract_y
_atom_site_fract_z
_atom_site_occupancy
Tc1 Tc 0.375 0.125 0.250 1
Tc2 Tc 0.625 0.875 0.750 1
H1 H 0.056 0.651 0.358 1
H2 H 0.151 0.293 0.595 1
H3 H 0.198 0.556 0.905 1
H4 H 0.207 0.302 0.858 1
H5 H 0.793 0.698 0.142 1
H6 H 0.802 0.444 0.095 1
H7 H 0.849 0.707 0.405 1
H8 H 0.944 0.349 0.642 1
N1 N 0.125 0.375 0.750 1
N2 N 0.875 0.625 0.250 1
O1 O 0.194 0.249 0.355 1
O2 O 0.251 0.105 0.945 1
O3 O 0.340 0.694 0.445 1
O4 O 0.395 0.840 0.145 1
O5 O 0.605 0.160 0.855 1
O6 O 0.660 0.306 0.555 1
O7 O 0.749 0.895 0.055 1
O8 O 0.806 0.751 0.645 1